(1)
Crystalline HgMo6Cl14 at its relaxed geometry, computed with GGA-PBE.

## Properties
**Volume**: 26.6 Å³/atom
**Total energy**: -5.239 eV/atom
**Space group**: No. 201

Cell lengths 13.0779, 13.0779, 13.0779 Å; angles 90.00, 90.00, 90.00 degrees
Fractional coordinates of all 84 atoms:
Hg (0.0000, 0.0000, 0.0000)
Hg (0.0000, 0.5000, 0.5000)
Hg (0.5000, 0.0000, 0.5000)
Hg (0.5000, 0.5000, 0.0000)
Mo (0.0247, 0.5305, 0.8633)
Mo (0.0247, 0.9695, 0.6367)
Mo (0.0305, 0.1367, 0.5247)
Mo (0.0305, 0.3633, 0.9753)
Mo (0.1367, 0.5247, 0.0305)
Mo (0.1367, 0.9753, 0.4695)
Mo (0.3633, 0.5247, 0.4695)
Mo (0.3633, 0.9753, 0.0305)
Mo (0.4695, 0.1367, 0.9753)
Mo (0.4695, 0.3633, 0.5247)
Mo (0.4753, 0.5305, 0.6367)
Mo (0.4753, 0.9695, 0.8633)
Mo (0.5247, 0.0305, 0.1367)
Mo (0.5247, 0.4695, 0.3633)
Mo (0.5305, 0.6367, 0.4753)
Mo (0.5305, 0.8633, 0.0247)
Mo (0.6367, 0.0247, 0.9695)
Mo (0.6367, 0.4753, 0.5305)
Mo (0.8633, 0.0247, 0.5305)
Mo (0.8633, 0.4753, 0.9695)
Mo (0.9695, 0.6367, 0.0247)
Mo (0.9695, 0.8633, 0.4753)
Mo (0.9753, 0.0305, 0.3633)
Mo (0.9753, 0.4695, 0.1367)
Cl (0.0627, 0.5786, 0.6840)
Cl (0.0627, 0.9214, 0.8160)
Cl (0.0761, 0.6240, 0.1812)
Cl (0.0761, 0.8760, 0.3188)
Cl (0.0786, 0.1840, 0.9373)
Cl (0.0786, 0.3160, 0.5627)
Cl (0.1240, 0.6812, 0.9239)
Cl (0.1240, 0.8188, 0.5761)
Cl (0.1349, 0.1349, 0.3651)
Cl (0.1349, 0.3651, 0.1349)
Cl (0.1812, 0.0761, 0.6240)
Cl (0.1812, 0.4239, 0.8760)
Cl (0.1840, 0.5627, 0.4214)
Cl (0.1840, 0.9373, 0.0786)
Cl (0.3160, 0.5627, 0.0786)
Cl (0.3160, 0.9373, 0.4214)
Cl (0.3188, 0.0761, 0.8760)
Cl (0.3188, 0.4239, 0.6240)
Cl (0.3651, 0.1349, 0.1349)
Cl (0.3651, 0.3651, 0.3651)
Cl (0.3760, 0.6812, 0.5761)
Cl (0.3760, 0.8188, 0.9239)
Cl (0.4214, 0.1840, 0.5627)
Cl (0.4214, 0.3160, 0.9373)
Cl (0.4239, 0.6240, 0.3188)
Cl (0.4239, 0.8760, 0.1812)
Cl (0.4373, 0.5786, 0.8160)
Cl (0.4373, 0.9214, 0.6840)
Cl (0.5627, 0.0786, 0.3160)
Cl (0.5627, 0.4214, 0.1840)
Cl (0.5761, 0.1240, 0.8188)
Cl (0.5761, 0.3760, 0.6812)
Cl (0.5786, 0.6840, 0.0627)
Cl (0.5786, 0.8160, 0.4373)
Cl (0.6240, 0.1812, 0.0761)
Cl (0.6240, 0.3188, 0.4239)
Cl (0.6349, 0.6349, 0.6349)
Cl (0.6349, 0.8651, 0.8651)
Cl (0.6812, 0.5761, 0.3760)
Cl (0.6812, 0.9239, 0.1240)
Cl (0.6840, 0.0627, 0.5786)
Cl (0.6840, 0.4373, 0.9214)
Cl (0.8160, 0.0627, 0.9214)
Cl (0.8160, 0.4373, 0.5786)
Cl (0.8188, 0.5761, 0.1240)
Cl (0.8188, 0.9239, 0.3760)
Cl (0.8651, 0.6349, 0.8651)
Cl (0.8651, 0.8651, 0.6349)
Cl (0.8760, 0.1812, 0.4239)
Cl (0.8760, 0.3188, 0.0761)
Cl (0.9214, 0.6840, 0.4373)
Cl (0.9214, 0.8160, 0.0627)
Cl (0.9239, 0.1240, 0.6812)
Cl (0.9239, 0.3760, 0.8188)
Cl (0.9373, 0.0786, 0.1840)
Cl (0.9373, 0.4214, 0.3160)

(2)
Crystalline Ca2BAsO8 at its relaxed geometry, computed with GGA-PBE.

## Properties
**Volume**: 13.4 Å³/atom
**Total energy**: -6.252 eV/atom
**Space group**: No. 82
**M_tot**: 4.0 μB per formula unit

Cell lengths 5.9553, 5.9553, 5.9553 Å; angles 106.40, 106.40, 115.80 degrees
Fractional coordinates of all 12 atoms:
Ca (0.0000, 0.0000, 0.0000)
Ca (0.7500, 0.2500, 0.5000)
B (0.5000, 0.5000, 0.0000)
As (0.2500, 0.7500, 0.5000)
O (0.0501, 0.3926, 0.2889)
O (0.1037, 0.7612, 0.7111)
O (0.2038, 0.3468, 0.8140)
O (0.2388, 0.9499, 0.3425)
O (0.5329, 0.3899, 0.1860)
O (0.6074, 0.8963, 0.6575)
O (0.6101, 0.7962, 0.1430)
O (0.6532, 0.4671, 0.8570)